1.
The following is a DFT calculation (GGA-PBE) of a relaxed Na10Ca3Si6Sn5S6O48 crystal.

abc: 18.326 9.197 22.882
angles: 89.53 89.64 120.02
Fractional coordinates of all 234 atoms:
Na1 0.318 0.999 0.245
Na2 0.192 0.364 0.245
Na3 0.694 0.379 0.243
Na4 0.997 0.643 0.252
Na5 0.315 0.612 0.760
Na6 0.817 0.623 0.751
Na7 0.990 0.354 0.755
Na8 0.498 0.381 0.741
Na9 0.182 0.016 0.751
Na10 0.688 0.018 0.753
Na11 0.648 0.341 0.574
Na12 0.322 0.681 0.076
Na13 0.823 0.681 0.089
Na14 0.163 0.321 0.924
Na15 0.999 0.314 0.421
Na16 0.161 0.021 0.420
Na17 0.667 0.026 0.412
Na18 0.843 0.674 0.419
Na19 0.001 0.001 0.499
Na20 0.493 0.022 0.496
Na21 0.007 0.031 0.001
Na22 0.502 0.033 0.994
Na23 0.346 0.365 0.836
Na24 0.838 0.333 0.830
Na25 0.338 0.373 0.327
Na26 0.833 0.340 0.334
Na27 0.169 0.657 0.158
Na28 0.663 0.660 0.160
Na29 0.161 0.656 0.665
Na30 0.652 0.656 0.663
Ca1 0.498 0.001 0.353
Ca2 0.336 0.342 0.683
Ca3 0.836 0.337 0.689
Ca4 0.333 0.336 0.185
Ca5 0.833 0.327 0.184
Ca6 0.163 0.652 0.013
Ca7 0.659 0.646 0.014
Ca8 0.162 0.656 0.517
Ca9 0.668 0.666 0.517
Si1 0.147 0.988 0.254
Si2 0.351 0.710 0.251
Si3 0.853 0.715 0.250
Si4 0.144 0.297 0.753
Si5 0.642 0.294 0.751
Si6 0.008 0.719 0.755
Si7 0.502 0.722 0.750
Si8 0.850 0.985 0.752
Si9 0.481 0.324 0.589
Si10 0.180 0.323 0.086
Si11 0.682 0.325 0.089
Si12 0.318 0.671 0.918
Si13 0.006 0.347 0.917
Si14 0.511 0.359 0.915
Si15 0.818 0.970 0.416
Si16 0.170 0.366 0.416
Si17 0.668 0.363 0.421
Si18 0.022 0.670 0.415
Sn1 0.002 0.997 0.352
Sn2 0.997 0.004 0.850
Sn3 0.499 0.999 0.854
Sn4 0.001 0.000 0.656
Sn5 0.502 0.011 0.649
Sn6 0.007 0.994 0.149
Sn7 0.500 0.001 0.148
Sn8 0.334 0.343 0.980
Sn9 0.828 0.321 0.983
Sn10 0.337 0.338 0.486
Sn11 0.837 0.339 0.479
Sn12 0.172 0.663 0.318
Sn13 0.678 0.676 0.320
Sn14 0.154 0.640 0.822
Sn15 0.657 0.656 0.814
S1 0.646 0.981 0.252
S2 0.004 0.294 0.252
S3 0.510 0.308 0.251
S4 0.350 0.987 0.751
S5 0.979 0.313 0.584
S6 0.176 0.036 0.586
S7 0.685 0.046 0.583
S8 0.339 0.645 0.584
S9 0.843 0.643 0.584
S10 0.481 0.642 0.084
S11 0.980 0.637 0.083
S12 0.339 0.040 0.084
S13 0.839 0.036 0.083
S14 0.819 0.664 0.916
S15 0.165 0.967 0.914
S16 0.670 0.970 0.915
S17 0.314 0.975 0.418
S18 0.517 0.652 0.415
O1 0.105 0.031 0.310
O2 0.609 0.005 0.306
O3 0.401 0.812 0.305
O4 0.908 0.813 0.307
O5 0.501 0.214 0.303
O6 0.995 0.202 0.307
O7 0.103 0.186 0.812
O8 0.595 0.163 0.805
O9 0.483 0.809 0.805
O10 0.988 0.805 0.810
O11 0.404 0.018 0.802
O12 0.913 0.034 0.807
O13 0.387 0.958 0.698
O14 0.889 0.935 0.695
O15 0.079 0.217 0.696
O16 0.587 0.221 0.690
O17 0.032 0.844 0.696
O18 0.518 0.838 0.690
O19 0.394 0.833 0.188
O20 0.896 0.824 0.188
O21 0.012 0.205 0.200
O22 0.526 0.229 0.198
O23 0.082 0.944 0.198
O24 0.593 0.966 0.199
O25 0.440 0.321 0.650
O26 0.935 0.319 0.636
O27 0.222 0.122 0.638
O28 0.730 0.128 0.636
O29 0.328 0.551 0.639
O30 0.837 0.544 0.636
O31 0.445 0.543 0.137
O32 0.946 0.548 0.139
O33 0.338 0.115 0.140
O34 0.834 0.117 0.135
O35 0.227 0.331 0.145
O36 0.730 0.342 0.149
O37 0.229 0.303 0.025
O38 0.732 0.298 0.030
O39 0.428 0.557 0.031
O40 0.923 0.541 0.033
O41 0.347 0.149 0.033
O42 0.851 0.141 0.029
O43 0.219 0.137 0.531
O44 0.730 0.154 0.529
O45 0.346 0.554 0.531
O46 0.851 0.558 0.528
O47 0.419 0.304 0.530
O48 0.931 0.304 0.529
O49 0.283 0.696 0.978
O50 0.782 0.687 0.970
O51 0.073 0.433 0.967
O52 0.566 0.435 0.971
O53 0.156 0.867 0.965
O54 0.665 0.875 0.966
O55 0.272 0.872 0.470
O56 0.785 0.842 0.470
O57 0.142 0.439 0.468
O58 0.660 0.442 0.481
O59 0.086 0.732 0.468
O60 0.566 0.672 0.467
O61 0.060 0.619 0.357
O62 0.557 0.629 0.360
O63 0.263 0.899 0.363
O64 0.750 0.895 0.361
O65 0.188 0.477 0.353
O66 0.684 0.486 0.361
O67 0.042 0.455 0.853
O68 0.551 0.480 0.854
O69 0.175 0.887 0.859
O70 0.681 0.894 0.859
O71 0.254 0.640 0.860
O72 0.768 0.647 0.863
O73 0.996 0.817 0.407
O74 0.507 0.801 0.409
O75 0.400 0.007 0.414
O76 0.916 0.015 0.404
O77 0.088 0.173 0.408
O78 0.596 0.168 0.416
O79 0.000 0.159 0.913
O80 0.500 0.171 0.906
O81 0.089 0.990 0.910
O82 0.594 0.989 0.911
O83 0.414 0.825 0.908
O84 0.906 0.811 0.911
O85 0.490 0.147 0.584
O86 0.984 0.154 0.584
O87 0.091 0.026 0.585
O88 0.601 0.041 0.582
O89 0.420 0.810 0.584
O90 0.923 0.812 0.584
O91 0.478 0.804 0.086
O92 0.975 0.798 0.083
O93 0.417 0.020 0.082
O94 0.916 0.015 0.084
O95 0.084 0.146 0.086
O96 0.586 0.148 0.089
O97 0.336 0.132 0.746
O98 0.835 0.143 0.746
O99 0.236 0.315 0.748
O100 0.736 0.322 0.749
O101 0.423 0.532 0.750
O102 0.929 0.532 0.750
O103 0.335 0.523 0.247
O104 0.846 0.531 0.251
O105 0.433 0.320 0.242
O106 0.933 0.325 0.248
O107 0.243 0.140 0.251
O108 0.732 0.126 0.246
O109 0.316 0.485 0.917
O110 0.825 0.506 0.920
O111 0.414 0.336 0.922
O112 0.912 0.334 0.925
O113 0.241 0.139 0.915
O114 0.747 0.145 0.916
O115 0.315 0.141 0.422
O116 0.825 0.156 0.425
O117 0.254 0.341 0.427
O118 0.762 0.368 0.420
O119 0.430 0.496 0.418
O120 0.931 0.492 0.424
O121 0.174 0.492 0.082
O122 0.679 0.497 0.082
O123 0.066 0.676 0.075
O124 0.569 0.683 0.077
O125 0.263 0.872 0.081
O126 0.764 0.866 0.078
O127 0.166 0.868 0.583
O128 0.673 0.878 0.578
O129 0.267 0.674 0.578
O130 0.768 0.659 0.581
O131 0.064 0.463 0.582
O132 0.576 0.484 0.584
O133 0.145 0.806 0.261
O134 0.648 0.819 0.254
O135 0.255 0.699 0.250
O136 0.756 0.688 0.253
O137 0.085 0.460 0.252
O138 0.587 0.481 0.253
O139 0.154 0.488 0.756
O140 0.648 0.479 0.756
O141 0.098 0.715 0.761
O142 0.592 0.720 0.754
O143 0.266 0.831 0.758
O144 0.758 0.809 0.762

Values from the calculation:
Energy relative to the elements: -2.40 eV per atom

2.
The following is a DFT calculation (GGA-PBE) of a relaxed Na6CaSi4Sn3S2O24 crystal.

abc: 9.164 9.164 22.874
angles: 90.77 89.71 120.12
Fractional coordinates of all 120 atoms:
Na1 0.989 0.350 0.756
Na2 0.394 0.020 0.752
Na3 0.322 0.337 0.586
Na4 0.028 0.703 0.575
Na5 0.654 0.963 0.589
Na6 0.316 0.975 0.083
Na7 0.658 0.681 0.085
Na8 0.023 0.339 0.083
Na9 0.332 0.295 0.923
Na10 0.967 0.292 0.413
Na11 0.322 0.033 0.416
Na12 0.712 0.680 0.416
Na13 0.000 0.994 0.492
Na14 0.999 0.998 0.000
Na15 0.663 0.318 0.835
Na16 0.667 0.334 0.330
Na17 0.333 0.668 0.163
Na18 0.368 0.674 0.670
Ca1 0.002 0.999 0.353
Ca2 0.652 0.331 0.686
Ca3 0.663 0.331 0.180
Si1 0.290 0.297 0.752
Si2 0.707 0.991 0.753
Si3 0.365 0.030 0.584
Si4 0.667 0.635 0.582
Si5 0.959 0.625 0.083
Si6 0.663 0.029 0.084
Si7 0.373 0.340 0.080
Si8 0.035 0.378 0.915
Si9 0.333 0.962 0.915
Si10 0.624 0.966 0.418
Si11 0.337 0.382 0.418
Si12 0.037 0.656 0.419
Sn1 0.005 0.013 0.856
Sn2 0.996 0.998 0.651
Sn3 0.003 0.001 0.146
Sn4 0.672 0.318 0.984
Sn5 0.654 0.338 0.480
Sn6 0.323 0.669 0.016
Sn7 0.343 0.676 0.514
Sn8 0.333 0.669 0.319
Sn9 0.338 0.668 0.817
S1 0.296 0.989 0.251
S2 0.692 0.704 0.251
S3 0.012 0.307 0.251
S4 0.006 0.713 0.752
S5 0.965 0.334 0.583
S6 0.631 0.667 0.916
O1 0.213 0.001 0.304
O2 0.787 0.789 0.304
O3 0.000 0.212 0.304
O4 0.199 0.173 0.808
O5 0.984 0.797 0.803
O6 0.828 0.008 0.807
O7 0.782 0.961 0.689
O8 0.170 0.214 0.691
O9 0.031 0.811 0.696
O10 0.779 0.808 0.197
O11 0.029 0.220 0.196
O12 0.192 0.970 0.196
O13 0.892 0.361 0.636
O14 0.482 0.092 0.641
O15 0.623 0.514 0.636
O16 0.897 0.508 0.139
O17 0.601 0.089 0.139
O18 0.491 0.393 0.136
O19 0.450 0.293 0.021
O20 0.829 0.544 0.026
O21 0.722 0.157 0.027
O22 0.447 0.154 0.526
O23 0.714 0.559 0.522
O24 0.858 0.307 0.530
O25 0.557 0.697 0.970
O26 0.164 0.460 0.971
O27 0.310 0.854 0.974
O28 0.551 0.854 0.478
O29 0.302 0.460 0.478
O30 0.150 0.687 0.479
O31 0.121 0.614 0.362
O32 0.494 0.882 0.362
O33 0.381 0.509 0.362
O34 0.125 0.487 0.856
O35 0.363 0.878 0.856
O36 0.521 0.638 0.864
O37 0.017 0.820 0.416
O38 0.809 0.989 0.414
O39 0.176 0.195 0.416
O40 0.025 0.191 0.914
O41 0.159 0.979 0.911
O42 0.801 0.818 0.910
O43 0.981 0.178 0.585
O44 0.177 0.018 0.590
O45 0.839 0.827 0.587
O46 0.980 0.817 0.090
O47 0.836 0.013 0.092
O48 0.182 0.165 0.089
O49 0.701 0.165 0.752
O50 0.470 0.310 0.752
O51 0.864 0.541 0.747
O52 0.672 0.536 0.247
O53 0.863 0.325 0.248
O54 0.464 0.138 0.248
O55 0.639 0.511 0.920
O56 0.851 0.364 0.921
O57 0.495 0.158 0.920
O58 0.636 0.151 0.425
O59 0.512 0.371 0.420
O60 0.853 0.480 0.424
O61 0.341 0.500 0.070
O62 0.154 0.661 0.074
O63 0.507 0.836 0.070
O64 0.328 0.834 0.575
O65 0.497 0.656 0.576
O66 0.137 0.484 0.577
O67 0.304 0.827 0.251
O68 0.521 0.695 0.252
O69 0.173 0.477 0.252
O70 0.289 0.478 0.757
O71 0.167 0.707 0.755
O72 0.512 0.826 0.756

Values from the calculation:
Energy relative to the elements: -2.46 eV per atom